An optimized crystal structure of Cu3BO5, computed with r2SCAN.

Geometry as CIF:
```
data_Cu3BO5
_chemical_formula_sum 'Cu12 B4 O20'
_cell_length_a 3.2233
_cell_length_b 9.3156
_cell_length_c 11.8899
_cell_angle_alpha 90.00
_cell_angle_beta 93.53
_cell_angle_gamma 90.00
_symmetry_space_group_name_H-M 'P 1 21/c 1'
_symmetry_Int_Tables_number 14
loop_
_symmetry_equiv_pos_as_xyz
'x,y,z'
'-x,-y,-z'
'-x,y+1/2,-z+1/2'
'x,-y+1/2,z+1/2'
loop_
_atom_site_label
_atom_site_fract_x
_atom_site_fract_y
_atom_site_fract_z
Cu1 0.0000 0.0000 0.0000
Cu2 0.0837 0.0200 0.2758
Cu3 0.4088 0.7322 0.6228
Cu4 0.5000 0.0000 0.5000
B1 0.3669 0.7366 0.3695
O1 0.0102 0.5850 0.6431
O2 0.1873 0.1266 0.4127
O3 0.3231 0.6709 0.2666
O4 0.3452 0.6580 0.4666
O5 0.4491 0.6177 0.8712
```

For the calculated volume, the calculation gives 9.90 A^3/atom. For the energy relative to the elements, the calculation gives -1.241 eV per atom. The value obtained for the theoretical density is 5246 kg/m3.